# 1
Crystalline Tl2Pt5S6 at its relaxed geometry. Source: the Materials Project database, functional meta-GGA r2SCAN.

For the formation energy, the calculation gives -0.54 eV/atom. Its crystal system is monoclinic.

The structure in CIF format:
```
data_Tl2Pt5S6
_chemical_formula_sum 'Tl4 Pt10 S12'
_symmetry_space_group_name_H-M 'P 1 21/c 1'
_symmetry_Int_Tables_number 14
_symmetry_space_group_name_Hall '-P 2ybc'
_cell_length_a 7.0110
_cell_length_b 7.0140
_cell_length_c 12.4020
_cell_angle_alpha 90.00
_cell_angle_beta 116.26
_cell_angle_gamma 90.00
loop_
_atom_site_label
_atom_site_fract_x
_atom_site_fract_y
_atom_site_fract_z
Tl1 0.1627 0.2118 0.0459
Pt1 0.0006 0.1886 0.2452
Pt2 0.5000 0.0000 0.5000
Pt3 0.5005 0.0714 0.7677
S1 0.2424 0.5648 0.8068
S2 0.2436 0.0581 0.8359
S3 0.3460 0.6585 0.1121
```

=====

# 2
Crystalline ScCoSi at its relaxed geometry. Source: the Materials Project database, functional meta-GGA r2SCAN.

For the formation energy, the calculation gives -0.78 eV/atom. Its crystal system is orthorhombic.

The structure in CIF format:
```
data_ScCoSi
_chemical_formula_sum 'Sc4 Co4 Si4'
_symmetry_space_group_name_H-M 'P n m a'
_symmetry_Int_Tables_number 62
_symmetry_space_group_name_Hall '-P 2ac 2n'
_cell_length_a 6.4286
_cell_length_b 3.9742
_cell_length_c 6.7816
_cell_angle_alpha 90.00
_cell_angle_beta 90.00
_cell_angle_gamma 90.00
loop_
_atom_site_label
_atom_site_fract_x
_atom_site_fract_y
_atom_site_fract_z
Sc1 0.0096 0.2500 0.1953
Co1 0.1500 0.7500 0.4405
Si1 0.2051 0.2500 0.6102
```

=====

# 3
Crystalline Rb7GdFe6P8O34 at its relaxed geometry. Source: the Materials Project database, functional meta-GGA r2SCAN.

For the formation energy, the calculation gives -2.37 eV/atom. Its crystal system is triclinic.

The structure in CIF format:
```
data_Rb7GdFe6P8O34
_chemical_formula_sum 'Rb7 Gd1 Fe6 P8 O34'
_symmetry_space_group_name_H-M 'P -1'
_symmetry_Int_Tables_number 2
_symmetry_space_group_name_Hall '-P 1'
_cell_length_a 9.3036
_cell_length_b 9.8833
_cell_length_c 10.0177
_cell_angle_alpha 92.15
_cell_angle_beta 93.97
_cell_angle_gamma 116.09
loop_
_atom_site_label
_atom_site_fract_x
_atom_site_fract_y
_atom_site_fract_z
Rb1 0.0000 0.0000 0.0000
Rb2 0.1259 0.9747 0.3743
Rb3 0.1790 0.4396 0.9116
Rb4 0.4266 0.7917 0.6596
Gd1 0.0000 0.5000 0.5000
Fe1 0.3328 0.0928 0.7524
Fe2 0.3440 0.4228 0.2761
Fe3 0.3438 0.8932 0.0343
P1 0.0573 0.7549 0.7834
P2 0.2884 0.3309 0.5688
P3 0.3060 0.7339 0.3069
P4 0.4108 0.2329 0.0367
O1 0.0772 0.6257 0.7119
O2 0.1178 0.2721 0.2168
O3 0.1259 0.7802 0.9318
O4 0.1455 0.9011 0.7096
O5 0.1623 0.3904 0.5536
O6 0.2077 0.7097 0.4275
O7 0.2148 0.1749 0.6268
O8 0.2428 0.8066 0.2002
O9 0.2884 0.5822 0.2457
O10 0.3167 0.2187 0.8984
O11 0.3212 0.0871 0.1070
O12 0.3368 0.3052 0.4285
O13 0.4124 0.3690 0.1169
O14 0.4132 0.7328 0.9745
O15 0.4314 0.0048 0.8752
O16 0.4324 0.4421 0.6609
O17 0.4845 0.8396 0.3560
```

=====

# 4
Crystalline YZn at its relaxed geometry. Source: the Materials Project database, functional meta-GGA r2SCAN.

For the formation energy, the calculation gives -0.39 eV/atom. Its crystal system is cubic.

The structure in CIF format:
```
data_YZn
_chemical_formula_sum 'Y1 Zn1'
_symmetry_space_group_name_H-M 'P m -3 m'
_symmetry_Int_Tables_number 221
_symmetry_space_group_name_Hall '-P 4 2 3'
_cell_length_a 3.5624
_cell_length_b 3.5624
_cell_length_c 3.5624
_cell_angle_alpha 90.00
_cell_angle_beta 90.00
_cell_angle_gamma 90.00
loop_
_atom_site_label
_atom_site_fract_x
_atom_site_fract_y
_atom_site_fract_z
Y1 0.0000 0.0000 0.0000
Zn1 0.5000 0.5000 0.5000
```

=====

# 5
Crystalline Mg4FeO5 at its relaxed geometry. Source: the Materials Project database, functional meta-GGA r2SCAN.

For the formation energy, the calculation gives -2.63 eV/atom. Its crystal system is monoclinic.

The structure in CIF format:
```
data_Mg4FeO5
_chemical_formula_sum 'Mg32 Fe8 O40'
_symmetry_space_group_name_H-M 'C 1 2 1'
_symmetry_Int_Tables_number 5
_symmetry_space_group_name_Hall 'C 2y'
_cell_length_a 5.9602
_cell_length_b 8.4193
_cell_length_c 15.3074
_cell_angle_alpha 90.00
_cell_angle_beta 101.17
_cell_angle_gamma 90.00
loop_
_atom_site_label
_atom_site_fract_x
_atom_site_fract_y
_atom_site_fract_z
Mg1 0.1013 0.0000 0.2004
Mg2 0.1008 0.2499 0.7009
Mg3 0.1016 0.5000 0.2018
Mg4 0.1016 0.7500 0.7021
Mg5 0.1984 0.0000 0.3990
Mg6 0.1985 0.2498 0.8994
Mg7 0.1985 0.5000 0.3993
Mg8 0.1986 0.7502 0.8997
Fe1 0.0000 0.0000 0.0000
Fe2 0.0000 0.2500 0.5000
Fe3 0.0000 0.5000 0.0000
Fe4 0.0000 0.7500 0.5000
O1 0.0000 0.0076 0.5000
O2 0.0000 0.2421 0.0000
O3 0.0000 0.4924 0.5000
O4 0.0000 0.7579 0.0000
O5 0.1001 0.0006 0.6995
O6 0.1001 0.2491 0.1993
O7 0.0999 0.4994 0.6996
O8 0.1000 0.7508 0.1993
O9 0.1918 0.5000 0.8956
O10 0.1928 0.7500 0.3951
O11 0.2012 0.2500 0.3950
O12 0.2020 0.0000 0.8954
```

=====

# 6
Crystalline NaTmCl4 at its relaxed geometry. Source: the Materials Project database, functional meta-GGA r2SCAN.

For the formation energy, the calculation gives -2.37 eV/atom. Its crystal system is monoclinic.

The structure in CIF format:
```
data_NaTmCl4
_chemical_formula_sum 'Na2 Tm2 Cl8'
_symmetry_space_group_name_H-M 'P 1 2/c 1'
_symmetry_Int_Tables_number 13
_symmetry_space_group_name_Hall '-P 2yc'
_cell_length_a 6.3052
_cell_length_b 7.5656
_cell_length_c 6.7005
_cell_angle_alpha 90.00
_cell_angle_beta 92.51
_cell_angle_gamma 90.00
loop_
_atom_site_label
_atom_site_fract_x
_atom_site_fract_y
_atom_site_fract_z
Na1 0.0000 0.1494 0.2500
Tm1 0.5000 0.3439 0.7500
Cl1 0.2457 0.1234 0.5948
Cl2 0.2754 0.3945 0.0661
```

=====

# 7
Crystalline Ca2MgWO6 at its relaxed geometry. Source: the Materials Project database, functional meta-GGA r2SCAN.

For the formation energy, the calculation gives -2.92 eV/atom. Its crystal system is cubic.

The structure in CIF format:
```
data_Ca2MgWO6
_chemical_formula_sum 'Ca8 Mg4 W4 O24'
_symmetry_space_group_name_H-M 'F m -3 m'
_symmetry_Int_Tables_number 225
_symmetry_space_group_name_Hall '-F 4 2 3'
_cell_length_a 7.7982
_cell_length_b 7.7982
_cell_length_c 7.7982
_cell_angle_alpha 90.00
_cell_angle_beta 90.00
_cell_angle_gamma 90.00
loop_
_atom_site_label
_atom_site_fract_x
_atom_site_fract_y
_atom_site_fract_z
Ca1 0.2500 0.2500 0.2500
Mg1 0.0000 0.0000 0.0000
W1 0.0000 0.0000 0.5000
O1 0.0000 0.0000 0.2555
```

=====

# 8
Crystalline BaMo6S8 at its relaxed geometry. Source: the Materials Project database, functional meta-GGA r2SCAN.

For the formation energy, the calculation gives -1.04 eV/atom. Its crystal system is triclinic.

The structure in CIF format:
```
data_BaMo6S8
_chemical_formula_sum 'Ba1 Mo6 S8'
_symmetry_space_group_name_H-M 'P -1'
_symmetry_Int_Tables_number 2
_symmetry_space_group_name_Hall '-P 1'
_cell_length_a 6.6318
_cell_length_b 6.7251
_cell_length_c 6.7780
_cell_angle_alpha 89.07
_cell_angle_beta 89.22
_cell_angle_gamma 87.94
loop_
_atom_site_label
_atom_site_fract_x
_atom_site_fract_y
_atom_site_fract_z
Ba1 0.0000 0.0000 0.0000
Mo1 0.2449 0.5640 0.4196
Mo2 0.4174 0.2366 0.5639
Mo3 0.4326 0.5831 0.7636
S1 0.1242 0.3927 0.7326
S2 0.2616 0.2465 0.2531
S3 0.2678 0.8780 0.6128
S4 0.3943 0.7295 0.1246
```

=====

# 9
Crystalline FeSb2 at its relaxed geometry. Source: the Materials Project database, functional meta-GGA r2SCAN.

For the formation energy, the calculation gives 0.08 eV/atom. Its crystal system is orthorhombic.

The structure in CIF format:
```
data_FeSb2
_chemical_formula_sum 'Fe2 Sb4'
_symmetry_space_group_name_H-M 'P n n m'
_symmetry_Int_Tables_number 58
_symmetry_space_group_name_Hall '-P 2 2n'
_cell_length_a 5.6745
_cell_length_b 6.4844
_cell_length_c 3.4013
_cell_angle_alpha 90.00
_cell_angle_beta 90.00
_cell_angle_gamma 90.00
loop_
_atom_site_label
_atom_site_fract_x
_atom_site_fract_y
_atom_site_fract_z
Fe1 0.0000 0.0000 0.0000
Sb1 0.2009 0.3572 0.0000
```

=====

# 10
Crystalline TbErTe2 at its relaxed geometry. Source: the Materials Project database, functional meta-GGA r2SCAN.

For the formation energy, the calculation gives -1.47 eV/atom. Its crystal system is tetragonal.

The structure in CIF format:
```
data_TbErTe2
_chemical_formula_sum 'Tb1 Er1 Te2'
_symmetry_space_group_name_H-M 'P 4/m m m'
_symmetry_Int_Tables_number 123
_symmetry_space_group_name_Hall '-P 4 2'
_cell_length_a 4.3352
_cell_length_b 4.3352
_cell_length_c 6.1111
_cell_angle_alpha 90.00
_cell_angle_beta 90.00
_cell_angle_gamma 90.00
loop_
_atom_site_label
_atom_site_fract_x
_atom_site_fract_y
_atom_site_fract_z
Tb1 0.0000 0.0000 0.0000
Er1 0.5000 0.5000 0.5000
Te1 0.0000 0.0000 0.5000
Te2 0.5000 0.5000 0.0000
```

=====

# 11
Crystalline Te2Au at its relaxed geometry. Source: the Materials Project database, functional meta-GGA r2SCAN.

For the formation energy, the calculation gives -0.06 eV/atom. Its crystal system is monoclinic.

The structure in CIF format:
```
data_Te2Au
_chemical_formula_sum 'Te4 Au2'
_symmetry_space_group_name_H-M 'C 1 2/m 1'
_symmetry_Int_Tables_number 12
_symmetry_space_group_name_Hall '-C 2y'
_cell_length_a 7.2442
_cell_length_b 4.2091
_cell_length_c 5.1945
_cell_angle_alpha 90.00
_cell_angle_beta 90.12
_cell_angle_gamma 90.00
loop_
_atom_site_label
_atom_site_fract_x
_atom_site_fract_y
_atom_site_fract_z
Te1 0.1813 0.0000 0.2109
Au1 0.0000 0.5000 0.5000
```

=====

# 12
Crystalline Y4GeS3 at its relaxed geometry. Source: the Materials Project database, functional meta-GGA r2SCAN.

For the formation energy, the calculation gives -1.96 eV/atom. Its crystal system is trigonal.

The structure in CIF format:
```
data_Y4GeS3
_chemical_formula_sum 'Y12 Ge3 S9'
_symmetry_space_group_name_H-M 'R -3 m'
_symmetry_Int_Tables_number 166
_symmetry_space_group_name_Hall '-R 3 2"'
_cell_length_a 3.9929
_cell_length_b 3.9929
_cell_length_c 38.8787
_cell_angle_alpha 90.00
_cell_angle_beta 90.00
_cell_angle_gamma 120.00
loop_
_atom_site_label
_atom_site_fract_x
_atom_site_fract_y
_atom_site_fract_z
Y1 0.0000 0.0000 0.1248
Y2 0.0000 0.0000 0.3721
Ge1 0.0000 0.0000 0.5000
S1 0.0000 0.0000 0.0000
S2 0.0000 0.0000 0.2528
```

=====

| no. | total magnetic moment (μB/f.u.) |
| --- | --- |
| 1 | 0.00 |
| 2 | 0.00 |
| 3 | 37.00 |
| 4 | 0.00 |
| 5 | 2.01 |
| 6 | 0.00 |
| 7 | 0.00 |
| 8 | 0.00 |
| 9 | 1.25 |
| 10 | 0.00 |
| 11 | 0.00 |
| 12 | 0.00 |